The following is a DFT calculation (PBE) of crystalline NdSi2Ir2 at its relaxed geometry.

Computed properties:
V (A^3/atom): 17.4
E (eV per atom): -7.7012
Symmetry: P4/nmm, No. 129

a b c (Å): 4.190 4.190 9.920
angles (deg): 90.00 90.00 90.00
Positions (direct):
Ir: 0.000 0.000 0.000
Ir: 0.500 0.500 0.000
Ir: 0.000 0.500 0.626
Ir: 0.500 0.000 0.374
Si: 0.000 0.000 0.500
Si: 0.500 0.500 0.500
Si: 0.500 0.000 0.129
Si: 0.000 0.500 0.871
Nd: 0.500 0.000 0.744
Nd: 0.000 0.500 0.256

The following is a DFT calculation (PBE) of crystalline LiAl4Zn2O8 at its relaxed geometry.

Computed properties:
Excess energy over the best structure of this formula in the dataset (eV/atom): 0.019
V (A^3/atom): 9.7
Energy with MP2020 corrections (eV/atom): -6.454
Symmetry: C2/m, No. 12

a b c (Å): 5.790 5.775 6.006
angles (deg): 61.26 62.40 60.09
Positions (direct):
O: 0.709 0.747 0.297
O: 0.259 0.228 0.256
O: 0.291 0.253 0.703
O: 0.739 0.240 0.281
O: 0.261 0.760 0.719
O: 0.741 0.772 0.744
O: 0.259 0.756 0.256
O: 0.741 0.244 0.744
Zn: 0.000 0.500 0.500
Zn: 0.500 0.500 0.000
Al: 0.853 0.857 0.933
Al: 0.500 0.500 0.500
Al: 0.500 0.000 0.500
Al: 0.147 0.143 0.067
Li: 0.000 0.000 0.500

The following is a DFT calculation (PBE) of crystalline Na4Al2Si3Sn2S3O24 at its relaxed geometry.

Computed properties:
V (A^3/atom): 13.2
Energy with MP2020 corrections (eV/atom): -6.873
Symmetry: P1, No. 1

a b c (Å): 8.795 8.836 22.346
angles (deg): 90.02 87.68 119.95
Positions (direct):
O: 0.315 0.832 0.256
O: 0.155 0.476 0.970
O: 0.838 0.495 0.422
O: 0.167 0.207 0.698
O: 0.363 0.480 0.361
O: 0.026 0.847 0.410
O: 0.699 0.559 0.527
O: 0.038 0.816 0.698
O: 0.179 0.958 0.194
O: 0.196 0.160 0.816
O: 0.764 0.815 0.186
O: 0.498 0.183 0.238
O: 0.832 0.032 0.805
O: 0.646 0.132 0.419
O: 0.041 0.211 0.917
O: 0.026 0.211 0.193
O: 0.117 0.484 0.863
O: 0.485 0.355 0.134
O: 0.374 0.853 0.572
O: 0.973 0.161 0.587
O: 0.976 0.173 0.303
O: 0.836 0.298 0.246
O: 0.981 0.802 0.807
O: 0.702 0.185 0.744
O: 0.503 0.132 0.635
O: 0.172 0.703 0.469
O: 0.360 0.882 0.865
O: 0.644 0.135 0.136
O: 0.821 0.801 0.588
O: 0.688 0.144 0.026
O: 0.495 0.619 0.866
O: 0.842 0.540 0.751
O: 0.151 0.510 0.578
O: 0.182 0.979 0.920
O: 0.150 0.462 0.252
O: 0.434 0.292 0.026
O: 0.297 0.470 0.759
O: 0.154 0.684 0.760
O: 0.166 0.205 0.416
O: 0.841 0.808 0.302
O: 0.863 0.347 0.924
O: 0.826 0.850 0.907
O: 0.555 0.851 0.471
O: 0.984 0.819 0.087
O: 0.859 0.364 0.646
O: 0.508 0.843 0.752
O: 0.838 0.551 0.028
O: 0.490 0.310 0.741
O: 0.524 0.880 0.363
O: 0.532 0.697 0.982
O: 0.187 0.184 0.092
O: 0.640 0.492 0.923
O: 0.162 0.641 0.072
O: 0.316 0.846 0.974
O: 0.482 0.347 0.420
O: 0.508 0.645 0.579
O: 0.319 0.474 0.471
O: 0.173 0.997 0.587
O: 0.814 0.982 0.405
O: 0.867 0.499 0.144
O: 0.836 0.291 0.528
O: 0.706 0.520 0.244
O: 0.108 0.625 0.353
O: 0.497 0.135 0.924
O: 0.209 0.039 0.311
O: 0.639 0.509 0.637
O: 0.785 0.957 0.688
O: 0.827 0.029 0.085
O: 0.443 0.152 0.517
O: 0.504 0.666 0.257
O: 0.364 0.497 0.078
O: 0.510 0.867 0.080
Al: 0.682 0.348 0.194
Al: 0.292 0.669 0.524
Al: 0.331 0.672 0.018
Al: 0.997 0.966 0.349
Al: 0.644 0.292 0.685
Al: 0.976 0.990 0.843
Si: 0.307 0.015 0.251
Si: 0.374 0.036 0.582
Si: 0.957 0.340 0.587
Si: 0.633 0.680 0.920
Si: 0.711 0.006 0.749
Si: 0.295 0.280 0.754
Si: 0.704 0.703 0.251
Si: 0.035 0.667 0.417
Si: 0.970 0.622 0.086
S: 0.370 0.333 0.085
S: 0.662 0.623 0.586
S: 0.048 0.380 0.919
S: 0.999 0.711 0.754
S: 0.637 0.958 0.417
S: 0.995 0.280 0.251
S: 0.335 0.955 0.921
S: 0.328 0.378 0.420
S: 0.665 0.047 0.084
Sn: 0.001 0.984 0.153
Sn: 0.012 0.014 0.647
Sn: 0.355 0.670 0.812
Sn: 0.676 0.348 0.984
Sn: 0.334 0.671 0.316
Sn: 0.674 0.339 0.486
Na: 0.005 0.649 0.254
Na: 0.334 0.664 0.661
Na: 0.336 0.682 0.169
Na: 0.655 0.331 0.822
Na: 0.002 0.360 0.738
Na: 0.009 0.005 0.502
Na: 0.663 0.344 0.333
Na: 0.340 0.306 0.902
Na: 0.326 0.028 0.422
Na: 0.672 0.698 0.082
Na: 0.668 0.976 0.588
Na: 0.986 0.977 0.994

The following is a DFT calculation (PBE) of crystalline MgPH13O9 at its relaxed geometry.

Computed properties:
V (A^3/atom): 8.8
Energy with MP2020 corrections (eV/atom): -5.549
Symmetry: R3, No. 146

a b c (Å): 5.987 5.987 5.987
angles (deg): 95.92 95.92 95.92
Positions (direct):
H: 0.434 0.036 0.954
H: 0.184 0.612 0.797
H: 0.612 0.797 0.184
H: 0.346 0.249 0.844
H: 0.954 0.434 0.036
H: 0.706 0.923 0.575
H: 0.797 0.184 0.612
H: 0.923 0.575 0.706
H: 0.844 0.346 0.249
H: 0.575 0.706 0.923
H: 0.349 0.349 0.349
H: 0.249 0.844 0.346
H: 0.036 0.954 0.434
O: 0.297 0.107 0.908
O: 0.908 0.297 0.107
O: 0.738 0.418 0.501
O: 0.649 0.838 0.032
O: 0.418 0.501 0.738
O: 0.838 0.032 0.649
O: 0.107 0.908 0.297
O: 0.032 0.649 0.838
O: 0.501 0.738 0.418
P: 0.502 0.502 0.502
Mg: 0.979 0.979 0.979

The following is a DFT calculation (PBE) of crystalline EuH4S2NO8 at its relaxed geometry.

Computed properties:
V (A^3/atom): 11.0
Energy with MP2020 corrections (eV/atom): -6.768
Symmetry: P2_1/c, No. 14

a b c (Å): 7.221 8.996 10.879
angles (deg): 88.65 90.00 90.00
Positions (direct):
H: 0.331 0.464 0.252
H: 0.669 0.536 0.748
H: 0.831 0.536 0.248
H: 0.600 0.473 0.612
H: 0.731 0.602 0.118
H: 0.452 0.351 0.347
H: 0.769 0.602 0.618
H: 0.900 0.473 0.112
H: 0.400 0.527 0.388
H: 0.231 0.398 0.382
H: 0.100 0.527 0.888
H: 0.548 0.649 0.653
H: 0.169 0.464 0.752
H: 0.269 0.398 0.882
H: 0.048 0.351 0.847
H: 0.952 0.649 0.153
N: 0.853 0.566 0.157
N: 0.353 0.434 0.343
N: 0.647 0.566 0.657
N: 0.147 0.434 0.843
O: 0.849 0.664 0.891
O: 0.452 0.611 0.123
O: 0.307 0.768 0.680
O: 0.952 0.389 0.377
O: 0.151 0.336 0.109
O: 0.327 0.114 0.488
O: 0.258 0.712 0.465
O: 0.742 0.288 0.535
O: 0.550 0.126 0.942
O: 0.989 0.899 0.816
O: 0.758 0.288 0.035
O: 0.489 0.101 0.684
O: 0.173 0.114 0.988
O: 0.165 0.129 0.689
O: 0.335 0.129 0.189
O: 0.693 0.232 0.320
O: 0.511 0.899 0.316
O: 0.011 0.101 0.184
O: 0.450 0.874 0.058
O: 0.673 0.886 0.512
O: 0.665 0.871 0.811
O: 0.548 0.389 0.877
O: 0.349 0.336 0.609
O: 0.807 0.232 0.820
O: 0.050 0.874 0.558
O: 0.835 0.871 0.311
O: 0.242 0.712 0.965
O: 0.048 0.611 0.623
O: 0.651 0.664 0.391
O: 0.827 0.886 0.012
O: 0.193 0.768 0.180
O: 0.950 0.126 0.442
S: 0.668 0.825 0.387
S: 0.835 0.263 0.415
S: 0.168 0.175 0.113
S: 0.332 0.175 0.613
S: 0.335 0.737 0.085
S: 0.665 0.263 0.915
S: 0.832 0.825 0.887
S: 0.165 0.737 0.585
Eu: 0.829 0.052 0.652
Eu: 0.671 0.052 0.152
Eu: 0.329 0.948 0.848
Eu: 0.171 0.948 0.348

The following is a DFT calculation (PBE) of crystalline GdLuCu2 at its relaxed geometry.

Computed properties:
V (A^3/atom): 20.4
E (eV per atom): -6.9451
Symmetry: Fm-3m, No. 225

a b c (Å): 4.872 4.872 4.872
angles (deg): 60.00 60.00 60.00
Positions (direct):
Lu: 0.000 0.000 0.000
Cu: 0.750 0.750 0.750
Cu: 0.250 0.250 0.250
Gd: 0.500 0.500 0.500

The following is a DFT calculation (PBE) of crystalline Ag7Pb3O9 at its relaxed geometry.

Computed properties:
V (A^3/atom): 16.2
Energy with MP2020 corrections (eV/atom): -4.790
Symmetry: C2/m, No. 12

a b c (Å): 8.861 8.861 8.910
angles (deg): 72.22 72.22 72.09
Positions (direct):
O: 0.228 0.852 0.728
O: 0.895 0.895 0.019
O: 0.815 0.439 0.937
O: 0.438 0.438 0.313
O: 0.519 0.897 0.394
O: 0.481 0.103 0.606
O: 0.561 0.185 0.063
O: 0.148 0.772 0.272
O: 0.227 0.227 0.353
O: 0.772 0.148 0.272
O: 0.773 0.773 0.647
O: 0.103 0.481 0.606
O: 0.562 0.562 0.687
O: 0.897 0.519 0.394
O: 0.439 0.815 0.937
O: 0.185 0.561 0.063
O: 0.105 0.105 0.981
O: 0.852 0.228 0.728
Pb: 0.501 0.828 0.665
Pb: 0.828 0.501 0.665
Pb: 0.168 0.832 0.000
Pb: 0.832 0.168 0.000
Pb: 0.499 0.172 0.335
Pb: 0.172 0.499 0.335
Ag: 0.169 0.665 0.666
Ag: 0.500 0.000 0.000
Ag: 0.746 0.746 0.246
Ag: 0.833 0.833 0.833
Ag: 0.000 0.500 0.000
Ag: 0.585 0.585 0.094
Ag: 0.831 0.335 0.334
Ag: 0.078 0.078 0.578
Ag: 0.415 0.415 0.906
Ag: 0.665 0.169 0.666
Ag: 0.167 0.167 0.167
Ag: 0.254 0.254 0.754
Ag: 0.922 0.922 0.422
Ag: 0.335 0.831 0.334

The following is a DFT calculation (PBE) of crystalline TbZnSn2 at its relaxed geometry.

Computed properties:
V (A^3/atom): 23.7
E (eV per atom): -3.9395
Symmetry: P4/nmm, No. 129

a b c (Å): 4.387 4.387 9.842
angles (deg): 90.00 90.00 90.00
Positions (direct):
Sn: 0.000 0.000 0.500
Sn: 0.500 0.000 0.185
Sn: 0.500 0.500 0.500
Sn: 0.000 0.500 0.815
Tb: 0.500 0.000 0.753
Tb: 0.000 0.500 0.247
Zn: 0.000 0.000 0.000
Zn: 0.500 0.500 0.000

> V of number 3 (Na4Al2Si3Sn2S3O24)?

13.2 A^3/atom

> Among the records above, which one has the highest V?

TbZnSn2

What did the second record say?
The following is a DFT calculation (PBE) of crystalline LiAl4Zn2O8 at its relaxed geometry.

Computed properties:
Excess energy over the best structure of this formula in the dataset (eV/atom): 0.019
V (A^3/atom): 9.7
Energy with MP2020 corrections (eV/atom): -6.454
Symmetry: C2/m, No. 12

a b c (Å): 5.790 5.775 6.006
angles (deg): 61.26 62.40 60.09
Positions (direct):
O: 0.709 0.747 0.297
O: 0.259 0.228 0.256
O: 0.291 0.253 0.703
O: 0.739 0.240 0.281
O: 0.261 0.760 0.719
O: 0.741 0.772 0.744
O: 0.259 0.756 0.256
O: 0.741 0.244 0.744
Zn: 0.000 0.500 0.500
Zn: 0.500 0.500 0.000
Al: 0.853 0.857 0.933
Al: 0.500 0.500 0.500
Al: 0.500 0.000 0.500
Al: 0.147 0.143 0.067
Li: 0.000 0.000 0.500